# 1
AgSbSe2 | GGA-PBE | optimized geometry

Calculated values
symmetry: P4/mmm
corrected total energy (MP2020 scheme): -3.84 eV per atom

Unit cell a=4.095 b=4.095 c=5.780 alpha=90.00 beta=90.00 gamma=90.00
Positions (direct):
Ag (0.000, 0.000, 0.000)
Sb (0.500, 0.500, 0.500)
Se (0.000, 0.000, 0.500)
Se (0.500, 0.500, 0.000)

# 2
AgSbSe2 | GGA-PBE | optimized geometry

Calculated values
symmetry: I4_1/amd
corrected total energy (MP2020 scheme): -3.89 eV per atom

Unit cell a=7.149 b=7.149 c=7.149 alpha=132.66 beta=132.66 gamma=69.18
Positions (direct):
Ag (0.375, 0.625, 0.750)
Ag (0.625, 0.375, 0.250)
Sb (0.125, 0.875, 0.250)
Sb (0.875, 0.125, 0.750)
Se (0.122, 0.372, 0.750)
Se (0.372, 0.122, 0.250)
Se (0.628, 0.878, 0.750)
Se (0.878, 0.628, 0.250)

# 3
AgSbSe2 | GGA-PBE | optimized geometry

Calculated values
symmetry: R-3m
corrected total energy (MP2020 scheme): -3.90 eV per atom

Unit cell a=7.034 b=7.034 c=7.034 alpha=33.98 beta=33.98 gamma=33.98
Positions (direct):
Ag (0.000, 0.000, 0.000)
Sb (0.500, 0.500, 0.500)
Se (0.252, 0.252, 0.252)
Se (0.748, 0.748, 0.748)

| no. | ΔH_f (0 K) (eV per formula unit) |
| --- | --- |
| 1 | -1.42 |
| 2 | -1.60 |
| 3 | -1.63 |